[1]
VASP calculation (GGA+U) on a geometry-optimized MgCr2Sb4O12 structure.

Output
E above lowest polymorph: 0.000 eV/atom
E: -120.87 eV per cell
Energy of formation from the pure elements: -1.9112 eV per atom

Cell lengths 4.8098, 4.8098, 10.6977 Å; angles 90.00, 90.00, 90.00 degrees
With the nearest neighbours (Å) after each atom.
Positions (direct):
Mg  0.0000  0.0000  0.0000  4 O 2.07
Cr  0.0000  0.5000  0.7334  6 O 1.95-2.17
Cr  0.5000  0.0000  0.2666  6 O 1.95-2.17
Sb  0.0000  0.5000  0.1420  4 O 2.05-2.11
Sb  0.0000  0.5000  0.4331  6 O 2.00-2.07
Sb  0.5000  0.0000  0.5669  6 O 2.00-2.07
Sb  0.5000  0.0000  0.8580  4 O 2.05-2.11
O  0.1554  0.2697  0.8660  1 Cr 1.95, 1 Mg 2.07, 1 Sb 2.11
O  0.1903  0.2999  0.5730  2 Sb 2.00-2.07, 1 Cr 2.17
O  0.2079  0.3244  0.2892  2 Sb 2.02-2.05, 1 Cr 2.11
O  0.2697  0.8446  0.1340  1 Cr 1.95, 1 Mg 2.07, 1 Sb 2.11
O  0.2999  0.8097  0.4270  2 Sb 2.00-2.07, 1 Cr 2.17
O  0.3244  0.7921  0.7108  2 Sb 2.02-2.05, 1 Cr 2.11
O  0.6756  0.2079  0.7108  2 Sb 2.02-2.05, 1 Cr 2.11
O  0.7001  0.1903  0.4270  2 Sb 2.00-2.07, 1 Cr 2.17
O  0.7303  0.1554  0.1340  1 Cr 1.95, 1 Mg 2.07, 1 Sb 2.11
O  0.7921  0.6756  0.2892  2 Sb 2.02-2.05, 1 Cr 2.11
O  0.8097  0.7001  0.5730  2 Sb 2.00-2.07, 1 Cr 2.17
O  0.8446  0.7303  0.8660  1 Cr 1.95, 1 Mg 2.07, 1 Sb 2.11



[2]
VASP calculation (GGA+U) on a geometry-optimized MgCr2Sb4O12 structure.

Output
E above lowest polymorph: 0.055 eV/atom
E: -119.83 eV per cell
Energy of formation from the pure elements: -1.8564 eV per atom

Cell lengths 5.0149, 9.5985, 5.0189 Å; angles 90.00, 90.96, 90.00 degrees
With the nearest neighbours (Å) after each atom.
Positions (direct):
Mg  0.0000  0.0000  0.0000  6 O 1.96-2.17
Cr  0.0000  0.5035  0.5000  6 O 1.99-2.21
Cr  0.5000  0.0163  0.0000  6 O 2.04-2.07
Sb  0.0000  0.1778  0.5000  6 O 2.02-2.07
Sb  0.0000  0.8205  0.5000  2 O 2.09
Sb  0.5000  0.3506  0.0000  4 O 2.15-2.27
Sb  0.5000  0.6781  0.0000  6 O 2.03-2.09
O  0.1908  0.3425  0.6647  1 Cr 1.99, 1 Sb 2.02
O  0.2176  0.6627  0.6909  2 Sb 2.09, 1 Cr 2.10
O  0.2283  0.0261  0.6901  1 Mg 1.96, 1 Cr 2.05, 1 Sb 2.07
O  0.2432  0.1484  0.1832  1 Cr 2.04, 1 Sb 2.04, 1 Mg 2.08
O  0.2881  0.8473  0.1405  1 Cr 2.07, 1 Sb 2.07, 1 Mg 2.17
O  0.3000  0.5223  0.1856  2 Sb 2.03-2.15, 1 Cr 2.21
O  0.7000  0.5223  0.8144  2 Sb 2.03-2.15, 1 Cr 2.21
O  0.7119  0.8473  0.8595  1 Cr 2.07, 1 Sb 2.07, 1 Mg 2.17
O  0.7568  0.1484  0.8168  1 Cr 2.04, 1 Sb 2.04, 1 Mg 2.08
O  0.7717  0.0261  0.3099  1 Mg 1.96, 1 Cr 2.05, 1 Sb 2.07
O  0.7824  0.6627  0.3091  2 Sb 2.09, 1 Cr 2.10
O  0.8092  0.3425  0.3353  1 Cr 1.99, 1 Sb 2.02



[3]
VASP calculation (GGA+U) on a geometry-optimized Mg2CrSbO6 structure.

Output
E: -130.19 eV per cell
Energy of formation from the pure elements: -2.4544 eV per atom

Cell lengths 5.1778, 7.6403, 5.3681 Å; angles 90.00, 90.49, 90.00 degrees
With the nearest neighbours (Å) after each atom.
Positions (direct):
Mg  0.0048  0.2500  0.0377  4 O 2.01-2.20
Mg  0.4812  0.7500  0.4286  4 O 2.06-2.11
Mg  0.5188  0.2500  0.5714  4 O 2.06-2.11
Mg  0.9952  0.7500  0.9623  4 O 2.01-2.20
Cr  0.5000  0.0000  0.0000  6 O 2.03-2.05
Cr  0.5000  0.5000  0.0000  6 O 2.03-2.05
Sb  0.0000  0.0000  0.5000  6 O 1.97-2.08
Sb  0.0000  0.5000  0.5000  6 O 1.97-2.08
O  0.1378  0.2500  0.4281  2 Sb 2.08, 2 Mg 2.11-2.20
O  0.1760  0.5699  0.1886  1 Sb 1.98, 1 Cr 2.04, 1 Mg 2.06
O  0.1760  0.9301  0.1886  1 Sb 1.98, 1 Cr 2.04, 1 Mg 2.06
O  0.3180  0.5700  0.6797  1 Sb 1.97, 1 Cr 2.03, 1 Mg 2.11
O  0.3180  0.9300  0.6797  1 Sb 1.97, 1 Cr 2.03, 1 Mg 2.11
O  0.3756  0.2500  0.9290  2 Mg 2.01-2.06, 2 Cr 2.05
O  0.6244  0.7500  0.0710  2 Mg 2.01-2.06, 2 Cr 2.05
O  0.6820  0.0700  0.3203  1 Sb 1.97, 1 Cr 2.03, 1 Mg 2.11
O  0.6820  0.4300  0.3203  1 Sb 1.97, 1 Cr 2.03, 1 Mg 2.11
O  0.8240  0.0699  0.8114  1 Sb 1.98, 1 Cr 2.04, 1 Mg 2.06
O  0.8240  0.4301  0.8114  1 Sb 1.98, 1 Cr 2.04, 1 Mg 2.06
O  0.8622  0.7500  0.5719  2 Sb 2.08, 2 Mg 2.11-2.20



[4]
VASP calculation (GGA+U) on a geometry-optimized MgCrSi2O6 structure.

Output
E above lowest polymorph: 0.032 eV/atom
E: -300.64 eV per cell
Energy of formation from the pure elements: -2.9489 eV per atom

Cell lengths 9.5456, 9.3748, 5.3816 Å; angles 90.00, 100.19, 90.00 degrees
With the nearest neighbours (Å) after each atom.
Positions (direct):
Mg  0.2475  0.0022  0.0116  4 O 1.97-2.05
Mg  0.2475  0.4978  0.5116  4 O 1.97-2.05
Mg  0.7525  0.5022  0.4884  4 O 1.97-2.05
Mg  0.7525  0.9978  0.9884  4 O 1.97-2.05
Cr  0.2520  0.1485  0.5119  4 O 2.06-2.20
Cr  0.2520  0.3515  0.0119  4 O 2.06-2.20
Cr  0.7480  0.6485  0.9881  4 O 2.06-2.20
Cr  0.7480  0.8515  0.4881  4 O 2.06-2.20
Si  0.0454  0.6617  0.7607  4 O 1.61-1.66
Si  0.0454  0.8383  0.2607  4 O 1.61-1.66
Si  0.4536  0.6628  0.2188  4 O 1.61-1.66
Si  0.4536  0.8372  0.7188  4 O 1.61-1.66
Si  0.5464  0.1628  0.2812  4 O 1.61-1.66
Si  0.5464  0.3372  0.7812  4 O 1.61-1.66
Si  0.9546  0.1617  0.7393  4 O 1.61-1.66
Si  0.9546  0.3383  0.2393  4 O 1.61-1.66
O  0.0986  0.7411  0.5167  2 Si 1.65-1.66
O  0.0986  0.7589  0.0167  2 Si 1.65-1.66
O  0.1259  0.5103  0.7736  1 Si 1.61
O  0.1259  0.9897  0.2736  1 Si 1.61
O  0.1294  0.1527  0.7910  1 Si 1.64
O  0.1294  0.3473  0.2910  1 Si 1.64
O  0.3682  0.5183  0.2534  1 Si 1.61
O  0.3682  0.9817  0.7534  1 Si 1.61
O  0.3709  0.1504  0.2268  1 Si 1.65
O  0.3709  0.3496  0.7268  1 Si 1.65
O  0.4073  0.7225  0.9249  2 Si 1.66
O  0.4073  0.7775  0.4249  2 Si 1.66
O  0.5927  0.2225  0.5751  2 Si 1.66
O  0.5927  0.2775  0.0751  2 Si 1.66
O  0.6291  0.6504  0.2732  1 Si 1.65
O  0.6291  0.8496  0.7732  1 Si 1.65
O  0.6318  0.0183  0.2466  1 Si 1.61
O  0.6318  0.4817  0.7466  1 Si 1.61
O  0.8706  0.6527  0.7090  1 Si 1.64
O  0.8706  0.8473  0.2090  1 Si 1.64
O  0.8741  0.0103  0.7264  1 Si 1.61
O  0.8741  0.4897  0.2264  1 Si 1.61
O  0.9014  0.2411  0.9833  2 Si 1.65-1.66
O  0.9014  0.2589  0.4833  2 Si 1.65-1.66



[5]
VASP calculation (GGA+U) on a geometry-optimized MgCrSiO5 structure.

Output
E: -115.23 eV per cell
Energy of formation from the pure elements: -2.7037 eV per atom

Cell lengths 5.3040, 5.3040, 6.9235 Å; angles 104.98, 104.98, 104.22 degrees
With the nearest neighbours (Å) after each atom.
Positions (direct):
Mg  0.1714  0.8286  0.7500  3 O 2.07-2.16
Mg  0.8286  0.1714  0.2500  3 O 2.07-2.16
Cr  0.5000  0.5000  0.0000  6 O 1.86-1.99
Cr  0.5000  0.5000  0.5000  6 O 1.86-1.99
Si  0.1767  0.8233  0.2500  4 O 1.63-1.66
Si  0.8233  0.1767  0.7500  4 O 1.63-1.66
O  0.1393  0.2232  0.9055  1 Si 1.66
O  0.1748  0.6062  0.3782  1 Si 1.63
O  0.2232  0.1393  0.4055  1 Si 1.66
O  0.3938  0.8252  0.1218  1 Si 1.63
O  0.4193  0.5807  0.7500  2 Cr 1.86, 1 Mg 2.07
O  0.5807  0.4193  0.2500  2 Cr 1.86, 1 Mg 2.07
O  0.6062  0.1748  0.8782  1 Si 1.63
O  0.7768  0.8607  0.5945  1 Si 1.66
O  0.8252  0.3938  0.6218  1 Si 1.63
O  0.8607  0.7768  0.0945  1 Si 1.66